1.
A relaxed Mg3Si4 crystal, computed with GGA-PBE.

The structure in POSCAR format:
```
Mg3Si4
1.0
-1.115 -4.452 -2.835
6.878 1.483 -2.343
0.036 -1.886 7.204
Si Mg
8 6
direct
0.452 0.134 0.373
0.880 0.292 0.702
0.652 0.340 0.981
0.535 0.940 0.854
0.635 0.908 0.555
0.464 0.445 0.296
0.078 0.568 0.274
0.888 0.774 0.051
0.119 0.963 0.511
0.956 0.650 0.648
0.125 0.103 0.946
0.890 0.191 0.276
0.422 0.464 0.680
0.411 0.727 0.107
```

## Properties
The formation energy is 0.174 eV/atom. For the theoretical density, the calculation gives 2.452 g cm⁻³. Its space-group type is P1 (1). The crystal system is triclinic. The energy relative to the lowest polymorph listed for this composition is 54 kJ/mol of formula units. The value obtained for the total energy after the MP2020 corrections is -50.57 eV/cell. The uncorrected energy comes out at -3.65 eV/atom.

2.
A relaxed Mg4Si7 crystal, computed with GGA-PBE.

The structure in POSCAR format:
```
Mg4Si7
1.0
4.382 0.000 0.000
0.412 6.568 0.000
0.402 0.714 13.823
Mg Si
8 14
direct
0.752 0.058 0.586
0.194 0.526 0.850
0.795 0.199 0.329
0.720 0.546 0.657
0.739 0.685 0.427
0.245 0.372 0.513
0.237 0.046 0.923
0.772 0.664 0.194
0.295 0.624 0.052
0.218 0.857 0.296
0.747 0.058 0.066
0.380 0.347 0.173
0.246 0.001 0.138
0.258 0.496 0.325
0.218 0.751 0.562
0.227 0.242 0.706
0.781 0.735 0.980
0.720 0.835 0.806
0.228 0.877 0.719
0.311 0.014 0.441
0.685 0.354 0.958
0.724 0.216 0.800
```

## Properties
The formation energy is 0.163 eV/atom. For the theoretical density, the calculation gives 2.453 g cm⁻³. Its space-group type is P1 (1). The crystal system is triclinic. The energy relative to the lowest polymorph listed for this composition is 18 kJ/mol of formula units. The value obtained for the total energy after the MP2020 corrections is -85.18 eV/cell. The uncorrected energy comes out at -3.92 eV/atom.

3.
A relaxed Mg5Si6 crystal, computed with GGA-PBE.

The structure in POSCAR format:
```
Mg5Si6
1.0
5.073 0.000 0.000
-0.093 5.479 0.000
-1.886 -1.653 14.119
Mg Si
10 12
direct
0.239 0.923 0.013
0.198 0.395 0.875
0.285 0.900 0.625
0.724 0.167 0.936
0.116 0.022 0.264
0.606 0.707 0.250
0.829 0.902 0.746
0.037 0.441 0.124
0.222 0.351 0.498
0.668 0.280 0.374
0.608 0.390 0.730
0.346 0.877 0.825
0.759 0.164 0.574
0.920 0.841 0.436
0.744 0.614 0.564
0.712 0.651 0.903
0.781 0.878 0.087
0.502 0.498 0.056
0.414 0.845 0.433
0.098 0.432 0.685
0.542 0.193 0.177
0.147 0.526 0.321
```

## Properties
The formation energy is 0.155 eV/atom. For the theoretical density, the calculation gives 2.454 g cm⁻³. Its space-group type is P1 (1). The crystal system is triclinic. The energy relative to the lowest polymorph listed for this composition is 95 kJ/mol of formula units. The value obtained for the total energy after the MP2020 corrections is -77.70 eV/cell. The uncorrected energy comes out at -3.57 eV/atom.

4.
A relaxed Mg5Si6 crystal, computed with GGA-PBE.

The structure in POSCAR format:
```
Mg5Si6
1.0
-2.825 -2.657 3.872
4.119 -3.948 0.614
5.395 6.998 9.219
Si Mg
12 10
direct
0.906 0.824 0.834
0.781 0.847 0.437
0.988 0.319 0.248
0.800 0.355 0.075
0.478 0.613 0.585
0.007 0.887 0.251
0.150 0.172 0.792
0.775 0.515 0.716
0.537 0.289 0.253
0.119 0.339 0.612
0.094 0.468 0.927
0.571 0.859 0.263
0.773 0.343 0.449
0.308 0.598 0.116
0.611 0.251 0.887
0.780 0.848 0.051
0.278 0.080 0.423
0.250 0.580 0.387
0.415 0.766 0.847
0.561 0.094 0.650
0.055 0.850 0.618
0.264 0.101 0.075
```

## Properties
The formation energy is 0.151 eV/atom. For the theoretical density, the calculation gives 2.401 g cm⁻³. Its space-group type is P1 (1). The crystal system is triclinic. The energy relative to the lowest polymorph listed for this composition is 90 kJ/mol of formula units. The value obtained for the total energy after the MP2020 corrections is -77.79 eV/cell. The uncorrected energy comes out at -3.57 eV/atom.

5.
A relaxed Mg2Si3 crystal, computed with GGA-PBE.

The structure in POSCAR format:
```
Mg2Si3
1.0
1.919 5.881 0.000
-1.919 5.881 0.000
0.000 3.383 17.178
Mg Si
8 12
direct
0.924 0.924 0.421
0.032 0.032 0.754
0.471 0.471 0.255
0.459 0.459 0.072
0.043 0.043 0.925
0.183 0.183 0.249
0.302 0.302 0.570
0.310 0.310 0.749
0.159 0.159 0.046
0.172 0.172 0.455
0.694 0.694 0.677
0.848 0.848 0.170
0.662 0.662 0.131
0.653 0.653 0.821
0.832 0.832 0.869
0.337 0.337 0.952
0.615 0.615 0.383
0.810 0.810 0.307
0.003 0.003 0.557
0.508 0.508 0.639
```

## Properties
The formation energy is 0.125 eV/atom. For the theoretical density, the calculation gives 2.276 g cm⁻³. Its space-group type is Cm (8). The crystal system is monoclinic. The energy relative to the lowest polymorph listed for this composition is 22 kJ/mol of formula units. The value obtained for the total energy after the MP2020 corrections is -75.40 eV/cell. The uncorrected energy comes out at -3.81 eV/atom.

6.
A relaxed Mg3Si4 crystal, computed with GGA-PBE.

The structure in POSCAR format:
```
Mg3Si4
1.0
2.907 0.000 0.000
-1.291 9.624 0.000
-0.280 -4.508 8.938
Si Mg
8 6
direct
0.393 0.488 0.730
0.685 0.685 0.333
0.541 0.288 0.489
0.488 0.758 0.774
0.463 0.406 0.141
0.068 0.119 0.610
0.578 0.875 0.597
0.248 0.901 0.031
0.366 0.946 0.333
0.897 0.183 0.206
0.845 0.345 0.872
0.196 0.067 0.871
0.589 0.662 0.049
0.136 0.531 0.465
```

## Properties
The formation energy is 0.240 eV/atom. For the theoretical density, the calculation gives 2.461 g cm⁻³. Its space-group type is P1 (1). The crystal system is triclinic. The energy relative to the lowest polymorph listed for this composition is 99 kJ/mol of formula units. The value obtained for the total energy after the MP2020 corrections is -49.64 eV/cell. The uncorrected energy comes out at -3.59 eV/atom.

7.
A relaxed Mg5Si6 crystal, computed with GGA-PBE.

The structure in POSCAR format:
```
Mg5Si6
1.0
4.316 0.000 0.000
-0.405 8.523 0.000
-2.032 -0.380 11.520
Si Mg
12 10
direct
0.610 0.881 0.520
0.434 0.087 0.221
0.894 0.160 0.110
0.700 0.816 0.724
0.516 0.647 0.392
0.504 0.131 0.435
0.856 0.627 0.076
0.245 0.910 0.799
0.163 0.420 0.699
0.705 0.538 0.764
0.963 0.586 0.284
0.861 0.373 0.975
0.281 0.618 0.911
0.299 0.215 0.883
0.411 0.778 0.170
0.408 0.401 0.146
0.005 0.911 0.353
0.592 0.411 0.542
0.826 0.910 0.964
0.116 0.110 0.609
0.123 0.690 0.578
0.985 0.284 0.344
```

## Properties
The formation energy is 0.120 eV/atom. For the theoretical density, the calculation gives 2.273 g cm⁻³. Its space-group type is P1 (1). The crystal system is triclinic. The energy relative to the lowest polymorph listed for this composition is 58 kJ/mol of formula units. The value obtained for the total energy after the MP2020 corrections is -78.46 eV/cell. The uncorrected energy comes out at -3.60 eV/atom.

8.
A relaxed Mg5Si6 crystal, computed with GGA-PBE.

The structure in POSCAR format:
```
Mg5Si6
1.0
1.969 7.947 0.000
-1.969 7.947 0.000
0.000 1.516 6.394
Mg Si
5 6
direct
0.673 0.673 0.049
0.593 0.593 0.566
0.500 0.500 0.000
0.407 0.407 0.434
0.327 0.327 0.951
0.194 0.194 0.728
0.806 0.806 0.272
0.799 0.799 0.660
0.201 0.201 0.340
0.956 0.956 0.697
0.044 0.044 0.303
```

## Properties
The formation energy is 0.173 eV/atom. For the theoretical density, the calculation gives 2.407 g cm⁻³. Its space-group type is C2/m (12). The crystal system is monoclinic. The energy relative to the lowest polymorph listed for this composition is 114 kJ/mol of formula units. The value obtained for the total energy after the MP2020 corrections is -38.65 eV/cell. The uncorrected energy comes out at -3.55 eV/atom.

9.
A relaxed Mg3Si4 crystal, computed with GGA-PBE.

The structure in POSCAR format:
```
Mg3Si4
1.0
5.353 0.000 0.000
1.309 6.847 0.000
2.315 2.534 6.983
Mg Si
6 8
direct
0.057 0.962 0.887
0.912 0.417 0.634
0.055 0.480 0.221
0.542 0.744 0.117
0.697 0.244 0.130
0.323 0.735 0.524
0.540 0.386 0.448
0.953 0.597 0.869
0.211 0.077 0.205
0.423 0.565 0.881
0.658 0.880 0.678
0.477 0.193 0.842
0.266 0.137 0.491
0.892 0.829 0.329
```

## Properties
The formation energy is 0.164 eV/atom. For the theoretical density, the calculation gives 2.404 g cm⁻³. Its space-group type is P1 (1). The crystal system is triclinic. The energy relative to the lowest polymorph listed for this composition is 48 kJ/mol of formula units. The value obtained for the total energy after the MP2020 corrections is -50.70 eV/cell. The uncorrected energy comes out at -3.66 eV/atom.

10.
A relaxed Mg3Si4 crystal, computed with GGA-PBE.

The structure in POSCAR format:
```
Mg3Si4
1.0
-3.033 -1.950 0.376
4.328 -6.702 0.153
2.769 -2.572 9.010
Si Mg
8 6
direct
0.000 0.099 0.310
0.000 0.773 0.429
0.500 0.742 0.258
0.000 0.282 0.459
0.000 0.657 0.706
0.500 0.430 0.288
0.500 0.437 0.836
0.000 0.844 0.064
0.000 0.158 0.783
0.500 0.112 0.081
0.500 0.793 0.872
0.000 0.464 0.059
0.500 0.975 0.550
0.500 0.487 0.552
```

## Properties
The formation energy is 0.141 eV/atom. For the theoretical density, the calculation gives 2.366 g cm⁻³. Its space-group type is Pm (6). The crystal system is monoclinic. The energy relative to the lowest polymorph listed for this composition is 32 kJ/mol of formula units. The value obtained for the total energy after the MP2020 corrections is -51.03 eV/cell. The uncorrected energy comes out at -3.69 eV/atom.

11.
A relaxed Mg5Si6 crystal, computed with GGA-PBE.

The structure in POSCAR format:
```
Mg5Si6
1.0
5.056 0.000 0.000
1.087 5.874 0.000
1.776 1.938 13.799
Si Mg
12 10
direct
0.882 0.252 0.291
0.204 0.847 0.777
0.441 0.718 0.040
0.001 0.504 0.805
0.662 0.627 0.684
0.801 0.662 0.271
0.873 0.110 0.465
0.538 0.017 0.598
0.565 0.088 0.047
0.386 0.563 0.210
0.419 0.301 0.718
0.480 0.153 0.224
0.748 0.609 0.472
0.500 0.447 0.899
0.983 0.210 0.642
0.665 0.930 0.844
0.963 0.526 0.067
0.339 0.307 0.424
0.170 0.710 0.586
0.245 0.831 0.357
0.044 0.983 0.149
0.088 0.100 0.935
```

## Properties
The formation energy is 0.146 eV/atom. For the theoretical density, the calculation gives 2.350 g cm⁻³. Its space-group type is P1 (1). The crystal system is triclinic. The energy relative to the lowest polymorph listed for this composition is 85 kJ/mol of formula units. The value obtained for the total energy after the MP2020 corrections is -77.89 eV/cell. The uncorrected energy comes out at -3.58 eV/atom.

12.
A relaxed Mg5Si6 crystal, computed with GGA-PBE.

The structure in POSCAR format:
```
Mg5Si6
1.0
0.857 -12.798 8.073
2.914 -14.124 4.661
5.650 1.202 2.940
Mg Si
10 12
direct
0.786 0.786 0.462
0.370 0.370 0.398
0.485 0.485 0.182
0.113 0.113 0.577
0.739 0.739 0.983
0.405 0.405 0.864
0.155 0.155 0.049
0.217 0.217 0.508
0.520 0.520 0.648
0.945 0.945 0.524
0.916 0.916 0.166
0.050 0.050 0.962
0.591 0.591 0.907
0.669 0.669 0.344
0.668 0.668 0.733
0.291 0.291 0.145
0.841 0.841 0.078
0.853 0.853 0.704
0.294 0.294 0.759
0.975 0.975 0.881
0.590 0.590 0.281
0.043 0.043 0.342
```

## Properties
The formation energy is 0.158 eV/atom. For the theoretical density, the calculation gives 2.380 g cm⁻³. Its space-group type is Cm (8). The crystal system is monoclinic. The energy relative to the lowest polymorph listed for this composition is 98 kJ/mol of formula units. The value obtained for the total energy after the MP2020 corrections is -77.63 eV/cell. The uncorrected energy comes out at -3.57 eV/atom.